No. 1
Density functional theory data (PBE) for a geometry-optimized K6Al11Si13Ag5O48 structure.

Cell lengths 12.3972, 12.6021, 12.6943 Å; angles 90.00, 90.34, 90.00 degrees
With the nearest neighbours (Å) after each atom.
Fractional positions:
K 0.0000 0.1078 0.0000  2 O 2.32-2.48
K 0.0000 0.8922 0.0000  2 O 2.32-2.48
K 0.2396 0.2723 0.7796  2 O 2.46-2.62
K 0.2396 0.7277 0.7796  2 O 2.46-2.62
K 0.7619 0.2730 0.7799  2 O 2.46-2.61
K 0.7619 0.7270 0.7799  2 O 2.46-2.61
Al 0.0014 0.1265 0.7221  4 O 1.73-1.82
Al 0.0014 0.8735 0.7221  4 O 1.73-1.82
Al 0.0021 0.3200 0.1763  4 O 1.71-1.83
Al 0.0021 0.6800 0.1763  4 O 1.71-1.83
Al 0.0032 0.3232 0.9124  4 O 1.72-1.78
Al 0.0032 0.6768 0.9124  4 O 1.72-1.78
Al 0.1954 0.5000 0.9177  4 O 1.71-1.78
Al 0.3709 0.5000 0.7146  4 O 1.67-1.83
Al 0.6304 0.5000 0.7122  4 O 1.67-1.83
Al 0.8098 0.5000 0.9142  4 O 1.71-1.77
Al 0.8111 0.5000 0.1736  4 O 1.69-1.78
Si 0.0015 0.1263 0.3596  4 O 1.60-1.67
Si 0.0015 0.8737 0.3596  4 O 1.60-1.67
Si 0.1883 0.1247 0.5368  4 O 1.60-1.67
Si 0.1883 0.8753 0.5368  4 O 1.60-1.67
Si 0.1900 0.5000 0.1755  4 O 1.59-1.68
Si 0.3709 0.5000 0.3618  4 O 1.61-1.67
Si 0.3723 0.3138 0.5343  4 O 1.59-1.69
Si 0.3723 0.6862 0.5343  4 O 1.59-1.69
Si 0.6259 0.5000 0.3621  4 O 1.58-1.67
Si 0.6274 0.3128 0.5340  4 O 1.59-1.68
Si 0.6274 0.6872 0.5340  4 O 1.59-1.68
Si 0.8146 0.1251 0.5345  4 O 1.61-1.68
Si 0.8146 0.8749 0.5345  4 O 1.61-1.68
Ag 0.9998 0.5000 0.7660  4 O 2.42-2.52
Ag 0.1910 0.3034 0.3458  3 O 2.22-2.41
Ag 0.1910 0.6966 0.3458  3 O 2.22-2.41
Ag 0.8055 0.3109 0.3446  2 O 2.16-2.41
Ag 0.8055 0.6891 0.3446  2 O 2.16-2.41
O 0.0012 0.0000 0.3287  2 Si 1.64
O 0.0014 0.0000 0.7747  2 Al 1.73
O 0.0032 0.2079 0.8317  2 Al 1.73-1.78
O 0.0032 0.7921 0.8317  2 Al 1.73-1.78
O 0.0049 0.2861 0.0457  2 Al 1.71-1.76
O 0.0049 0.7139 0.0457  2 Al 1.71-1.76
O 0.0075 0.1992 0.2562  1 Si 1.60
O 0.0075 0.8008 0.2562  1 Si 1.60
O 0.1121 0.1509 0.4309  2 Si 1.67
O 0.1121 0.8491 0.4309  2 Si 1.67
O 0.1196 0.1483 0.6409  1 Si 1.60
O 0.1196 0.8517 0.6409  1 Si 1.60
O 0.1206 0.3886 0.8821  2 Al 1.72-1.74
O 0.1206 0.6114 0.8821  2 Al 1.72-1.74
O 0.1224 0.3925 0.2101  1 Si 1.65, 1 Al 1.80
O 0.1224 0.6075 0.2101  1 Si 1.65, 1 Al 1.80
O 0.2256 0.5000 0.0552  1 Si 1.59
O 0.2303 0.0000 0.5282  2 Si 1.66
O 0.2935 0.2062 0.5254  2 Si 1.67-1.68
O 0.2935 0.7938 0.5254  2 Si 1.67-1.68
O 0.2957 0.5000 0.8255  2 Al 1.69-1.71
O 0.2971 0.5000 0.2572  2 Si 1.61-1.68
O 0.3424 0.3815 0.6358  1 Si 1.59
O 0.3424 0.6185 0.6358  1 Si 1.59
O 0.3440 0.3885 0.4274  2 Si 1.67-1.69
O 0.3440 0.6115 0.4274  2 Si 1.67-1.69
O 0.4975 0.5000 0.3350  2 Si 1.61-1.63
O 0.4994 0.2741 0.5274  2 Si 1.66
O 0.4994 0.7259 0.5274  2 Si 1.66
O 0.5012 0.5000 0.7476  2 Al 1.67
O 0.6507 0.3885 0.4291  2 Si 1.66-1.67
O 0.6507 0.6115 0.4291  2 Si 1.66-1.67
O 0.6569 0.3797 0.6363  1 Si 1.59
O 0.6569 0.6203 0.6363  1 Si 1.59
O 0.6990 0.5000 0.2611  1 Si 1.58
O 0.7083 0.2062 0.5237  2 Si 1.67-1.68
O 0.7083 0.7938 0.5237  2 Si 1.67-1.68
O 0.7117 0.5000 0.8186  2 Al 1.68-1.71
O 0.7727 0.0000 0.5264  2 Si 1.66
O 0.7750 0.5000 0.0449  2 Al 1.69-1.72
O 0.8833 0.1488 0.6397  1 Si 1.61
O 0.8833 0.8512 0.6397  1 Si 1.61
O 0.8868 0.3869 0.2152  2 Al 1.73-1.78
O 0.8868 0.6131 0.2152  2 Al 1.73-1.78
O 0.8877 0.3892 0.8761  2 Al 1.72-1.77
O 0.8877 0.6108 0.8761  2 Al 1.72-1.77
O 0.8911 0.1510 0.4291  2 Si 1.66-1.68
O 0.8911 0.8490 0.4291  2 Si 1.66-1.68

crystal system = monoclinic
spin magnetization = 0.00 μB per formula unit
ΔE to the lowest computed polymorph = 0.006 eV per atom
VASP energy = -6.898 eV/atom

No. 2
Density functional theory data (PBE) for a geometry-optimized MgAlBi12O20 structure.

Cell lengths 8.9068, 9.0229, 9.0301 Å; angles 109.71, 109.21, 109.17 degrees
With the nearest neighbours (Å) after each atom.
Fractional positions:
Mg 0.0000 0.0000 0.0000  5 O 1.99-2.05
Al 0.5773 0.0000 0.0003  4 O 1.77-1.82
Bi 0.0759 0.3689 0.1981  3 O 2.17-2.24
Bi 0.0879 0.6855 0.8339  3 O 2.17-2.33
Bi 0.2543 0.1665 0.8522  3 O 2.17-2.33
Bi 0.2765 0.8503 0.5043  3 O 2.17-2.28
Bi 0.4025 0.1480 0.3139  3 O 2.16-2.33
Bi 0.4091 0.5223 0.7136  3 O 2.12-2.33
Bi 0.4270 0.6557 0.1508  3 O 2.17-2.28
Bi 0.6956 0.2871 0.8087  3 O 2.12-2.34
Bi 0.7070 0.8301 0.6315  3 O 2.17-2.24
Bi 0.7729 0.4954 0.3456  3 O 2.17-2.27
Bi 0.8760 0.8018 0.1696  3 O 2.17-2.24
Bi 0.8875 0.1917 0.4784  3 O 2.12-2.34
O 0.1545 0.1892 0.2704  1 Mg 2.05, 2 Bi 2.17-2.29
O 0.1897 0.3816 0.7450  1 Bi 2.12
O 0.2275 0.8878 0.2713  2 Bi 2.16-2.17
O 0.2285 0.9999 0.0000  1 Mg 2.04
O 0.3324 0.6333 0.3896  2 Bi 2.18-2.22
O 0.3386 0.3841 0.1122  2 Bi 2.17
O 0.3802 0.7799 0.8218  1 Al 1.82
O 0.4440 0.2541 0.6360  1 Bi 2.12
O 0.5593 0.1791 0.9590  1 Al 1.82
O 0.5775 0.5989 0.9965  3 Bi 2.20-2.28
O 0.5818 0.0039 0.6034  3 Bi 2.20-2.28
O 0.6001 0.0410 0.2202  1 Al 1.82
O 0.6998 0.7580 0.3674  2 Bi 2.18-2.22
O 0.7760 0.9993 0.0006  1 Al 1.77
O 0.8084 0.3641 0.6181  1 Bi 2.12
O 0.8838 0.7289 0.9185  1 Mg 2.05, 2 Bi 2.17-2.28
O 0.9426 0.6107 0.2432  2 Bi 2.18-2.23
O 0.9555 0.7285 0.6163  2 Bi 2.17
O 0.9653 0.0817 0.8109  1 Mg 2.05, 2 Bi 2.17-2.29
O 0.9791 0.3971 0.4006  3 Bi 2.20-2.27

crystal system = triclinic
spin magnetization = 0.00 μB per formula unit
ΔE to the lowest computed polymorph = 0.000 eV per atom
VASP energy = -5.782 eV/atom

No. 3
Density functional theory data (PBE) for a geometry-optimized KHg3 structure.

Cell lengths 5.0694, 5.0694, 5.0694 Å; angles 90.00, 90.00, 90.00 degrees
With the nearest neighbours (Å) after each atom.
Fractional positions:
K 0.0000 0.0000 0.0000  12 Hg 3.58
Hg 0.0000 0.5000 0.5000  8 Hg 3.58, 4 K 3.58
Hg 0.5000 0.0000 0.5000  8 Hg 3.58, 4 K 3.58
Hg 0.5000 0.5000 0.0000  8 Hg 3.58, 4 K 3.58

crystal system = cubic
VASP energy = -0.715 eV/atom